Entry w
VASP calculation (GGA-PBE) on a geometry-optimized Sr3P4 structure.

Unit cell a=11.3116 b=9.2153 c=7.7631 alpha=83.08 beta=53.97 gamma=42.94
Sites, in units of the cell vectors:
P (0.9207, 0.5780, 0.4243)
P (0.5901, 0.2509, 0.7296)
P (0.5148, 0.8289, 0.6670)
P (0.6694, 0.3368, 0.1701)
P (0.0852, 0.4169, 0.5830)
P (0.9953, 0.6570, 0.8157)
P (0.4186, 0.7328, 0.2628)
P (0.8281, 0.1679, 0.3269)
Sr (0.2514, 0.7516, 0.7505)
Sr (0.8218, 0.3424, 0.6803)
Sr (0.5716, 0.0939, 0.4189)
Sr (0.9125, 0.4277, 0.0909)
Sr (0.1650, 0.6755, 0.3270)
Sr (0.5085, 0.9970, 0.9896)

## Properties
Calculated volume (A^3/atom): 26.33
M_tot (μB per cell): 0.000
Space-group type: P1 (1)

---

Entry x
VASP calculation (GGA-PBE) on a geometry-optimized Sr3P4 structure.

Unit cell a=11.3116 b=9.2153 c=7.7631 alpha=83.08 beta=53.97 gamma=42.94
Sites, in units of the cell vectors:
P (0.9949, 0.6590, 0.8219)
P (0.0838, 0.4181, 0.5776)
P (0.6724, 0.3295, 0.1662)
P (0.9205, 0.5776, 0.4181)
P (0.8319, 0.1662, 0.3295)
P (0.4281, 0.7257, 0.2551)
P (0.5243, 0.8219, 0.6590)
P (0.5910, 0.2551, 0.7257)
Sr (0.8306, 0.3331, 0.6729)
Sr (0.1634, 0.6729, 0.3331)
Sr (0.9169, 0.4194, 0.0866)
Sr (0.5771, 0.0866, 0.4194)
Sr (0.5058, 0.9942, 0.9942)
Sr (0.2558, 0.7442, 0.7442)

## Properties
Maximum piezoelectric response (C/m2): 0.284
Calculated volume (A^3/atom): 26.33
Space-group type: Fdd2 (43)

---

Which of them is most stable? Easy: entry x.

---

Entry w
VASP calculation (GGA-PBE) on a geometry-optimized Ti5P3 structure.

Unit cell a=6.5063 b=7.4168 c=9.7699 alpha=90.00 beta=90.00 gamma=90.00
Sites, in units of the cell vectors:
P (0.0701, 0.4910, 0.6739)
P (0.5794, 0.2500, 0.5149)
P (0.4299, 0.0090, 0.1739)
P (0.9299, 0.9910, 0.3261)
P (0.4299, 0.4910, 0.1739)
P (0.4206, 0.7500, 0.4851)
P (0.9206, 0.2500, 0.0149)
P (0.5701, 0.9910, 0.8261)
P (0.9299, 0.5090, 0.3261)
P (0.0701, 0.0090, 0.6739)
P (0.0794, 0.7500, 0.9851)
P (0.5701, 0.5090, 0.8261)
Ti (0.9712, 0.2500, 0.4998)
Ti (0.8522, 0.7500, 0.7930)
Ti (0.6478, 0.7500, 0.2930)
Ti (0.1591, 0.7500, 0.2235)
Ti (0.8409, 0.2500, 0.7765)
Ti (0.6936, 0.9534, 0.5715)
Ti (0.3064, 0.0466, 0.4285)
Ti (0.3522, 0.2500, 0.7070)
Ti (0.6591, 0.2500, 0.2765)
Ti (0.6936, 0.5466, 0.5715)
Ti (0.1936, 0.4534, 0.9285)
Ti (0.1478, 0.2500, 0.2070)
Ti (0.8064, 0.9534, 0.0715)
Ti (0.3409, 0.7500, 0.7235)
Ti (0.4712, 0.7500, 0.0002)
Ti (0.3064, 0.4534, 0.4285)
Ti (0.5288, 0.2500, 0.9998)
Ti (0.1936, 0.0466, 0.9285)
Ti (0.8064, 0.5466, 0.0715)
Ti (0.0288, 0.7500, 0.5002)

## Properties
Calculated volume (A^3/atom): 14.73
Space-group type: Pnma (62)

---

Entry x
VASP calculation (GGA-PBE) on a geometry-optimized Ti5P3 structure.

Unit cell a=4.9823 b=9.7002 c=10.2650 alpha=90.00 beta=90.00 gamma=90.00
Sites, in units of the cell vectors:
P (0.3251, 0.0051, 0.8676)
P (0.1749, 0.0051, 0.3676)
P (0.6749, 0.9949, 0.1324)
P (0.8251, 0.9949, 0.6324)
P (0.6809, 0.7500, 0.4068)
P (0.3251, 0.4949, 0.8676)
P (0.8251, 0.5051, 0.6324)
P (0.1749, 0.4949, 0.3676)
P (0.3191, 0.2500, 0.5932)
P (0.6749, 0.5051, 0.1324)
P (0.1809, 0.2500, 0.0932)
P (0.8191, 0.7500, 0.9068)
Ti (0.6289, 0.7500, 0.6536)
Ti (0.8345, 0.2500, 0.5445)
Ti (0.1166, 0.7500, 0.7183)
Ti (0.6655, 0.2500, 0.0445)
Ti (0.8258, 0.5160, 0.8816)
Ti (0.8834, 0.2500, 0.2817)
Ti (0.1742, 0.0160, 0.1184)
Ti (0.1289, 0.2500, 0.8464)
Ti (0.3711, 0.2500, 0.3464)
Ti (0.6742, 0.5160, 0.3816)
Ti (0.1655, 0.7500, 0.4555)
Ti (0.3834, 0.7500, 0.2183)
Ti (0.3258, 0.0160, 0.6184)
Ti (0.8711, 0.7500, 0.1536)
Ti (0.3258, 0.4840, 0.6184)
Ti (0.6166, 0.2500, 0.7817)
Ti (0.6742, 0.9840, 0.3816)
Ti (0.8258, 0.9840, 0.8816)
Ti (0.1742, 0.4840, 0.1184)
Ti (0.3345, 0.7500, 0.9555)

## Properties
Calculated volume (A^3/atom): 15.50
M_tot (μB per cell): 0.018
Space-group type: Pnma (62)

---

Which of them is most stable? Easy: entry w.